# TmLuTl2

A relaxed TmLuTl2 crystal (PBE, the Materials Project).

Calculated values
space group: No. 225
DFT formation energy: -1.098 eV/f.u.

Lattice parameters (Å, degrees): 5.3065 5.3065 5.3065 60.00 60.00 60.00
Positions (direct):
1 Tm 0.0000 0.0000 0.0000
2 Lu 0.5000 0.5000 0.5000
3 Tl 0.2500 0.2500 0.2500
4 Tl 0.7500 0.7500 0.7500